a.
This record from Materials Project describes a geometry-optimized Cd7P10 structure. The functional is PBE.

Lattice parameters (Å, degrees): 18.1819 14.1542 11.8846 88.13 51.08 40.79
Closest atoms and distances in Å follow each position.
Atoms (fractional coordinates):
P 0.3208 0.4396 0.2668  2 P 2.20-2.22
P 0.0028 0.7292 0.9294  2 P 2.17-2.22
P 0.9982 0.6297 0.5851  2 P 2.20-2.21
P 0.9729 0.2668 0.4396  2 P 2.20-2.22
P 0.8910 0.1126 0.7745  4 Cd 2.55-2.65
P 0.1374 0.3590 0.0281  4 Cd 2.55-2.65
P 0.2219 0.7745 0.1126  4 Cd 2.55-2.65
P 0.5208 0.2472 0.9115  2 P 2.17-2.22
P 0.6649 0.4629 0.2518  2 P 2.20-2.21
P 0.4747 0.6540 0.5978  2 P 2.17-2.21
P 0.8104 0.9292 0.2771  2 P 2.20-2.22
P 0.2735 0.5978 0.6540  2 P 2.17-2.21
P 0.7871 0.5851 0.6297  2 P 2.20-2.21
P 0.9832 0.2771 0.9292  2 P 2.20-2.22
P 0.3206 0.9115 0.2472  2 P 2.17-2.22
P 0.6522 0.9765 0.7753  2 P 2.17-2.21
P 0.4755 0.0281 0.3590  4 Cd 2.55-2.65
P 0.3385 0.9294 0.7292  2 P 2.17-2.22
P 0.6203 0.2518 0.4629  2 P 2.20-2.21
P 0.5960 0.7753 0.9765  2 P 2.17-2.21
Cd 0.9769 0.9261 0.5172  4 P 2.62-2.85
Cd 0.7523 0.8232 0.4825  2 P 2.55-2.59
Cd 0.7675 0.3080 0.4977  2 P 2.55-2.59
Cd 0.9420 0.4825 0.8232  2 P 2.55-2.59
Cd 0.5798 0.5172 0.9261  4 P 2.62-2.85
Cd 0.7328 0.6702 0.2731  4 P 2.62-2.85
Cd 0.2554 0.2446 0.2446  4 P 2.63-2.65
Cd 0.2611 0.5741 0.9769  4 P 2.62-2.71
Cd 0.4268 0.4977 0.3080  2 P 2.55-2.59
Cd 0.3239 0.2731 0.6702  4 P 2.62-2.85
Cd 0.1879 0.9769 0.5741  4 P 2.62-2.71
Cd 0.0054 0.9946 0.9946  4 P 2.63-2.65
Cd 0.2731 0.0621 0.9889  4 P 2.62-2.71
Cd 0.6759 0.9889 0.0621  4 P 2.62-2.71

***

b.
This record from Materials Project describes a geometry-optimized Cd7P10 structure. The functional is PBE.

Lattice parameters (Å, degrees): 18.1819 14.1542 11.8846 88.13 51.08 40.79
Closest atoms and distances in Å follow each position.
Atoms (fractional coordinates):
Cd 0.5728 0.5266 0.9326  3 P 2.53-2.67
Cd 0.9319 0.4907 0.8331  3 P 2.56-2.81
Cd 0.2602 0.5747 0.9818  4 P 2.55-2.78
Cd 0.6851 0.9821 0.0535  4 P 2.57-2.71
Cd 0.1941 0.9700 0.5652  4 P 2.57-2.74
Cd 0.9820 0.9238 0.5143  3 P 2.58-2.67
Cd 0.2465 0.2549 0.2536  4 P 2.60-2.64
Cd 0.7553 0.8177 0.4774  2 P 2.55-2.64
Cd 0.3240 0.2700 0.6723  4 P 2.59-2.90
Cd 0.0052 0.9933 0.9987  4 P 2.58-2.70
Cd 0.4260 0.4974 0.3127  2 P 2.55-2.58
Cd 0.2742 0.0638 0.9904  4 P 2.57-2.72
Cd 0.7755 0.2980 0.4901  2 P 2.54-2.62
Cd 0.7232 0.6804 0.2835  4 P 2.57-2.87
P 0.0085 0.7221 0.9213  2 P 2.14-2.24
P 0.9836 0.2800 0.9270  2 P 2.20-2.21
P 0.7947 0.5753 0.6227  2 P 2.17-2.20
P 0.8134 0.9292 0.2720  2 P 2.17-2.24
P 0.4663 0.0356 0.3695  4 Cd 2.56-2.71
P 0.6302 0.2439 0.4544  2 P 2.17-2.25
P 0.9834 0.2567 0.4311  2 P 2.17-2.19
P 0.2268 0.7677 0.1109  4 Cd 2.54-2.63
P 0.1430 0.3508 0.0221  4 Cd 2.55-2.63
P 0.6695 0.4605 0.2445  2 P 2.20-2.23
P 0.5236 0.2443 0.9048  2 P 2.19-2.27
P 0.3295 0.4293 0.2598  2 P 2.19-2.27
P 0.5912 0.7811 0.9774  2 P 2.20
P 0.3390 0.9304 0.7249  2 P 2.16-2.21
P 0.4822 0.6494 0.5901  2 P 2.16-2.23
P 0.0054 0.6223 0.5815  2 P 2.19-2.24
P 0.6520 0.9736 0.7779  2 P 2.19-2.24
P 0.8878 0.1165 0.7813  4 Cd 2.55-2.67
P 0.2654 0.6053 0.6643  2 P 2.14-2.25
P 0.3230 0.9058 0.2448  2 P 2.19-2.20

***

Short version: a is the most stable of them.